{
  "formula": "Dy6Fe16O",
  "functional": "PBE+U",
  "state": "relaxed",
  "formation_enthalpy_0k_ev_per_atom": 0.783,
  "magnetic_moment_mub_per_cell": 51.53,
  "lattice_angstrom": [[7.537, -0.765, 3.068], [-1.153, 7.694, -2.506], [-5.490, -1.838, 5.769]],
  "species": ["Dy", "Dy", "Dy", "Dy", "Dy", "Dy", "Fe", "Fe", "Fe", "Fe", "Fe", "Fe", "Fe", "Fe", "Fe", "Fe", "Fe", "Fe", "Fe", "Fe", "Fe", "Fe", "O"],
  "fractional_positions": [[0.263, 0.000, 0.263], [0.000, 0.263, 0.263], [0.000, 0.737, 0.737], [0.263, 0.263, 0.000], [0.737, 0.737, 0.000], [0.737, 0.000, 0.737], [0.000, 0.000, 0.500], [0.500, 0.000, 0.000], [0.000, 0.500, 0.000], [0.500, 0.500, 0.500], [0.337, 0.000, 0.663], [0.674, 0.337, 0.337], [0.000, 0.337, 0.663], [0.663, 0.663, 0.326], [0.337, 0.663, 0.000], [0.337, 0.674, 0.337], [0.663, 0.326, 0.663], [0.337, 0.337, 0.674], [0.326, 0.663, 0.663], [0.663, 0.337, 0.000], [0.000, 0.663, 0.337], [0.663, 0.000, 0.337], [0.000, 0.000, 0.000]]
}